# 1
# CsK2ScF6

CsK2ScF6 after structural relaxation (GGA-PBE, the Materials Project).

POSCAR file:
```
CsK2ScF6
1.0
0.000 4.813 4.813
4.813 0.000 4.813
4.813 4.813 0.000
F K Cs Sc
6 2 1 1
direct
0.211 0.789 0.211
0.789 0.789 0.211
0.789 0.211 0.211
0.211 0.211 0.789
0.789 0.211 0.789
0.211 0.789 0.789
0.750 0.750 0.750
0.250 0.250 0.250
0.500 0.500 0.500
0.000 0.000 0.000
```

Calculated values
The value obtained for the electronic total energy is -52.6 eV/f.u. The value obtained for the total moment is 0.000 μB per cell. The formation energy comes out at -3.45 eV per atom. The MP2020-corrected energy comes out at -5.540 eV/atom.

---

# 2
# Cs2KScF6

Cs2KScF6 after structural relaxation (GGA-PBE, the Materials Project).

POSCAR file:
```
Cs2KScF6
1.0
3.934 1.853 4.961
-0.898 5.851 2.913
-2.365 0.294 6.152
F Sc Cs K
6 1 2 1
direct
0.219 0.219 0.781
0.781 0.781 0.219
0.219 0.781 0.781
0.219 0.781 0.219
0.781 0.219 0.781
0.781 0.219 0.219
0.000 0.000 0.000
0.250 0.250 0.250
0.750 0.750 0.750
0.500 0.500 0.500
```

Calculated values
The value obtained for the electronic total energy is -53.7 eV/f.u. The value obtained for the total moment is 0.000 μB per cell. The formation energy comes out at -3.58 eV per atom. The MP2020-corrected energy comes out at -5.652 eV/atom.

---

# 3
# Cs2KSiF7

Cs2KSiF7 after structural relaxation (GGA-PBE, the Materials Project).

POSCAR file:
```
Cs2KSiF7
1.0
5.785 -5.862 0.000
5.785 5.862 0.000
0.000 0.000 6.067
Cs F Si K
4 14 2 2
direct
0.694 0.306 0.500
0.000 0.500 0.000
0.306 0.694 0.500
0.500 0.000 0.000
0.647 0.353 0.000
0.149 0.149 0.000
0.897 0.103 0.796
0.394 0.394 0.202
0.851 0.851 0.000
0.353 0.647 0.000
0.394 0.394 0.798
0.606 0.606 0.202
0.500 0.000 0.500
0.897 0.103 0.204
0.103 0.897 0.796
0.606 0.606 0.798
0.103 0.897 0.204
0.000 0.500 0.500
0.500 0.500 0.000
0.000 0.000 0.000
0.804 0.804 0.500
0.196 0.196 0.500
```

Calculated values
The value obtained for the electronic total energy is -55.0 eV/f.u. The value obtained for the total moment is 0.000 μB per cell. The formation energy comes out at -3.32 eV per atom. The MP2020-corrected energy comes out at -5.293 eV/atom.

---

# 4
# Cs2KTaF6

Cs2KTaF6 after structural relaxation (GGA-PBE, the Materials Project).

POSCAR file:
```
Cs2KTaF6
1.0
0.000 4.708 4.708
4.708 0.000 4.708
4.708 4.708 0.000
F Cs K Ta
6 2 1 1
direct
0.223 0.777 0.223
0.777 0.223 0.223
0.223 0.223 0.777
0.777 0.777 0.223
0.223 0.777 0.777
0.777 0.223 0.777
0.750 0.750 0.750
0.250 0.250 0.250
0.500 0.500 0.500
0.000 0.000 0.000
```

Calculated values
The value obtained for the electronic total energy is -53.0 eV/f.u. The value obtained for the total moment is 2.000 μB per cell. The formation energy comes out at -2.95 eV per atom. The MP2020-corrected energy comes out at -5.578 eV/atom.

---

# 5
# CsK2TaF6

CsK2TaF6 after structural relaxation (GGA-PBE, the Materials Project).

POSCAR file:
```
CsK2TaF6
1.0
0.000 4.911 4.911
4.911 0.000 4.911
4.911 4.911 0.000
F K Cs Ta
6 2 1 1
direct
0.209 0.209 0.791
0.791 0.791 0.209
0.209 0.791 0.791
0.209 0.791 0.209
0.791 0.209 0.791
0.791 0.209 0.209
0.250 0.250 0.250
0.750 0.750 0.750
0.500 0.500 0.500
0.000 0.000 0.000
```

Calculated values
The value obtained for the electronic total energy is -52.1 eV/f.u. The value obtained for the total moment is 1.535 μB per cell. The formation energy comes out at -2.84 eV per atom. The MP2020-corrected energy comes out at -5.484 eV/atom.

---

# 6
# CsK2TiF6

CsK2TiF6 after structural relaxation (GGA-PBE, the Materials Project).

POSCAR file:
```
CsK2TiF6
1.0
-2.166 5.441 3.329
0.998 6.144 -2.577
-5.214 3.546 -2.372
K Ti F Cs
2 1 6 1
direct
0.750 0.750 0.750
0.250 0.250 0.250
0.000 0.000 0.000
0.209 0.791 0.209
0.791 0.209 0.209
0.791 0.209 0.791
0.209 0.209 0.791
0.209 0.791 0.791
0.791 0.791 0.209
0.500 0.500 0.500
```

Calculated values
The value obtained for the electronic total energy is -51.6 eV/f.u. The value obtained for the total moment is 0.987 μB per cell. The formation energy comes out at -3.19 eV per atom. The MP2020-corrected energy comes out at -5.436 eV/atom.

---

# 7
# Cs2KTlF6

Cs2KTlF6 after structural relaxation (GGA-PBE, the Materials Project).

POSCAR file:
```
Cs2KTlF6
1.0
-3.374 -5.805 0.828
-6.723 -0.140 -0.740
-2.751 -3.106 -5.343
Cs F Tl K
2 6 1 1
direct
0.250 0.250 0.250
0.750 0.750 0.750
0.230 0.770 0.230
0.770 0.230 0.770
0.770 0.770 0.230
0.230 0.230 0.770
0.230 0.770 0.770
0.770 0.230 0.230
0.000 0.000 0.000
0.500 0.500 0.500
```

Calculated values
The value obtained for the electronic total energy is -41.3 eV/f.u. The value obtained for the total moment is 0.001 μB per cell. The formation energy comes out at -2.73 eV per atom. The MP2020-corrected energy comes out at -4.405 eV/atom.

---

# 8
# CsK2YF6

CsK2YF6 after structural relaxation (GGA-PBE, the Materials Project).

POSCAR file:
```
CsK2YF6
1.0
0.000 4.981 4.981
4.981 0.000 4.981
4.981 4.981 0.000
F K Cs Y
6 2 1 1
direct
0.781 0.219 0.219
0.781 0.781 0.219
0.219 0.219 0.781
0.219 0.781 0.781
0.219 0.781 0.219
0.781 0.219 0.781
0.250 0.250 0.250
0.750 0.750 0.750
0.500 0.500 0.500
0.000 0.000 0.000
```

Calculated values
The value obtained for the electronic total energy is -52.7 eV/f.u. The value obtained for the total moment is 0.000 μB per cell. The formation energy comes out at -3.44 eV per atom. The MP2020-corrected energy comes out at -5.549 eV/atom.

---

# 9
# Cs3LiF4

Cs3LiF4 after structural relaxation (GGA-PBE, the Materials Project).

POSCAR file:
```
Cs3LiF4
1.0
3.079 6.942 0.000
-3.079 6.942 0.000
0.000 2.151 8.791
Cs F Li
6 8 2
direct
0.691 0.691 0.354
0.572 0.572 0.767
0.134 0.134 0.098
0.866 0.866 0.902
0.309 0.309 0.646
0.428 0.428 0.233
0.912 0.912 0.245
0.795 0.795 0.605
0.088 0.088 0.755
0.766 0.234 0.500
0.644 0.644 0.050
0.205 0.205 0.395
0.234 0.766 0.500
0.356 0.356 0.950
0.920 0.920 0.457
0.080 0.080 0.543
```

Calculated values
The value obtained for the electronic total energy is -33.7 eV/f.u. The formation energy comes out at -2.91 eV per atom. The MP2020-corrected energy comes out at -4.443 eV/atom.

---

# 10
# CsLiF2

CsLiF2 after structural relaxation (GGA-PBE, the Materials Project).

POSCAR file:
```
CsLiF2
1.0
5.973 3.066 0.000
-5.973 3.066 0.000
0.000 0.537 8.227
F Li Cs
8 4 4
direct
0.866 0.134 0.750
0.134 0.866 0.250
0.679 0.321 0.250
0.420 0.133 0.921
0.321 0.679 0.750
0.580 0.867 0.079
0.133 0.420 0.421
0.867 0.580 0.579
0.447 0.046 0.139
0.553 0.954 0.861
0.046 0.447 0.639
0.954 0.553 0.361
0.852 0.669 0.933
0.148 0.331 0.067
0.669 0.852 0.433
0.331 0.148 0.567
```

Calculated values
The value obtained for the electronic total energy is -17.7 eV/f.u. The formation energy comes out at -3.01 eV per atom. The MP2020-corrected energy comes out at -4.666 eV/atom.

---

# 11
# Cs3Li2F5

Cs3Li2F5 after structural relaxation (GGA-PBE, the Materials Project).

POSCAR file:
```
Cs3Li2F5
1.0
0.000 3.016 11.323
2.989 0.000 11.323
2.989 3.016 0.000
Cs F Li
3 5 2
direct
0.049 0.951 0.049
0.684 0.590 0.410
0.410 0.316 0.684
0.550 0.450 0.550
0.907 0.821 0.179
0.234 0.266 0.234
0.734 0.766 0.734
0.179 0.093 0.907
0.283 0.156 0.844
0.844 0.717 0.283
```

Calculated values
The value obtained for the electronic total energy is -43.1 eV/f.u. As for the piezoelectric modulus e_max: 1.7 C/m². The value obtained for the total moment is 0.003 μB per cell. The formation energy comes out at -2.93 eV per atom. The MP2020-corrected energy comes out at -4.538 eV/atom.

---

# 12
# CsLi3F4

CsLi3F4 after structural relaxation (GGA-PBE, the Materials Project).

POSCAR file:
```
CsLi3F4
1.0
2.826 5.175 0.000
-2.826 5.175 0.000
0.000 2.976 7.407
F Li Cs
8 6 2
direct
0.130 0.629 0.865
0.371 0.870 0.135
0.629 0.130 0.865
0.750 0.250 0.500
0.189 0.189 0.722
0.870 0.371 0.135
0.250 0.750 0.500
0.811 0.811 0.278
0.795 0.795 0.037
0.392 0.392 0.672
0.608 0.608 0.328
0.999 0.999 0.310
0.001 0.001 0.690
0.205 0.205 0.963
0.332 0.332 0.268
0.668 0.668 0.732
```

Calculated values
The value obtained for the electronic total energy is -36.6 eV/f.u. The value obtained for the total moment is 0.000 μB per cell. The formation energy comes out at -3.02 eV per atom. The MP2020-corrected energy comes out at -4.805 eV/atom.